This record from the Materials Project database describes a relaxed structure of NdGe5. The functional is PBE.

Lattice parameters (Å, degrees): 6.232 6.232 6.232 142.20 119.74 73.36
Positions (direct):
Nd1 0.000 0.000 0.000
Ge1 0.123 0.329 0.794
Ge2 0.465 0.671 0.794
Ge3 0.500 0.000 0.500
Ge4 0.535 0.329 0.206
Ge5 0.877 0.671 0.206

Properties
As for the formation energy: -0.2545 eV/atom. The calculated density is 6.67 Mg/m³. Its space group is Immm.